1.
Below is crystalline FeSnPt at its relaxed geometry, with properties calculated at the PBE level.

Computed properties:
Symmetry: No. 156
Volume, Å³/atom: 18.5
DFT formation energy, eV/atom: -0.097
Crystal system: trigonal
Total magnetization, μB per formula unit: 2.4

Cell lengths 4.0231, 4.0231, 15.8548 Å; angles 90.00, 90.00, 120.00 degrees
Last column: nearest neighbours and their distance in Å.
Atoms (fractional coordinates):
Fe  0.0000  0.0000  0.0000  3 Fe 2.55, 3 Pt 2.70
Fe  0.0000  0.0000  0.3169  3 Fe 2.53, 3 Pt 2.72
Fe  0.3333  0.6667  0.2537  2 Pt 2.41-2.65, 3 Fe 2.53, 3 Sn 2.62
Fe  0.3333  0.6667  0.9339  2 Pt 2.42-2.64, 3 Fe 2.55, 3 Sn 2.58
Sn  0.0000  0.0000  0.6764  6 Pt 2.72-2.73
Sn  0.6667  0.3333  0.1773  3 Fe 2.62, 3 Pt 2.73
Sn  0.6667  0.3333  0.4917  6 Pt 2.69-2.77
Sn  0.6667  0.3333  0.8626  3 Fe 2.58, 3 Pt 2.77
Pt  0.3333  0.6667  0.0864  5 Fe 2.42-2.70
Pt  0.3333  0.6667  0.4060  1 Fe 2.41, 3 Sn 2.69
Pt  0.3333  0.6667  0.5870  6 Sn 2.72-2.77, 2 Pt 2.86-2.87
Pt  0.3333  0.6667  0.7671  1 Fe 2.64, 6 Sn 2.73-2.77, 1 Pt 2.86

***

2.
Below is crystalline Te2MoW3S6 at its relaxed geometry, with properties calculated at the PBE level.

Computed properties:
Symmetry: No. 156
Volume, Å³/atom: 28.8
DFT formation energy, eV/atom: -0.835
Excess energy over the best structure of this formula in the dataset, meV/atom: 38
Crystal system: trigonal
Total magnetization, μB per formula unit: 0.0

Cell lengths 3.2752, 3.2752, 37.2662 Å; angles 90.00, 90.00, 120.00 degrees
Last column: nearest neighbours and their distance in Å.
Atoms (fractional coordinates):
Te  0.0000  0.0000  0.0000  3 W 2.71
Te  0.0000  0.0000  0.1042  3 W 2.71
Mo  0.3333  0.6667  0.6763  6 S 2.44
W  0.0000  0.0000  0.4884  6 S 2.44
W  0.0000  0.0000  0.8640  6 S 2.44
W  0.3333  0.6667  0.0521  6 Te 2.71
S  0.0000  0.0000  0.6350  3 Mo 2.44
S  0.0000  0.0000  0.7176  3 Mo 2.44
S  0.3333  0.6667  0.4469  3 W 2.44
S  0.3333  0.6667  0.5298  3 W 2.44
S  0.3333  0.6667  0.8226  3 W 2.44
S  0.3333  0.6667  0.9055  3 W 2.44

***

3.
Below is crystalline Rb2YCuF6 at its relaxed geometry, with properties calculated at the PBE level.

Computed properties:
Symmetry: No. 225
Volume, Å³/atom: 17.9
DFT formation energy, eV/atom: -3.148
Crystal system: cubic
Total magnetization, μB per formula unit: 0.0

Cell lengths 6.3295, 6.3295, 6.3295 Å; angles 60.00, 60.00, 60.00 degrees
Last column: nearest neighbours and their distance in Å.
Atoms (fractional coordinates):
Rb  0.2500  0.2500  0.2500  12 F 3.17
Rb  0.7500  0.7500  0.7500  12 F 3.17
Y  0.0000  0.0000  0.0000  6 F 2.19
Cu  0.5000  0.5000  0.5000  6 F 2.29
F  0.2445  0.2445  0.7555  1 Y 2.19, 1 Cu 2.29
F  0.2445  0.7555  0.2445  1 Y 2.19, 1 Cu 2.29
F  0.2445  0.7555  0.7555  1 Y 2.19, 1 Cu 2.29
F  0.7555  0.2445  0.2445  1 Y 2.19, 1 Cu 2.29
F  0.7555  0.2445  0.7555  1 Y 2.19, 1 Cu 2.29
F  0.7555  0.7555  0.2445  1 Y 2.19, 1 Cu 2.29

***

4.
Below is crystalline KNdS2 at its relaxed geometry, with properties calculated at the PBE level.

Computed properties:
Symmetry: No. 166
Volume, Å³/atom: 28.3
DFT formation energy, eV/atom: -2.094
Crystal system: trigonal

Cell lengths 7.7615, 7.7615, 7.7615 Å; angles 31.49, 31.49, 31.49 degrees
Last column: nearest neighbours and their distance in Å.
Atoms (fractional coordinates):
K  0.0000  0.0000  0.0000  6 S 3.25
Nd  0.5000  0.5000  0.5000  6 S 2.87
S  0.2355  0.2355  0.2355  3 Nd 2.87
S  0.7645  0.7645  0.7645  3 Nd 2.87